This record from Materials Project describes a relaxed Li3FeCu4O8 crystal. The functional is GGA+U.

- crystal system = monoclinic
- electronic total energy (eV per cell) = -169.3
- DFT formation energy (eV per atom) = -1.39

abc: 10.311 5.928 5.876
angles: 90.00 123.99 90.00
Space group C2/m (No. 12)
One atom of each set of equivalent atoms:
Li 0.000 0.000 0.000 x2
Li 0.250 0.250 0.000 x4
Fe 0.000 0.500 0.500 x2
Cu 0.000 0.000 0.500 x2
Cu 0.000 0.500 0.000 x2
Cu 0.250 0.250 0.500 x4
O 0.005 0.266 0.246 x8
O 0.225 0.000 0.713 x4
O 0.240 0.500 0.728 x4

This record from Materials Project describes a relaxed Li5Fe2Cu3O10 crystal. The functional is GGA+U.

- crystal system = triclinic
- electronic total energy (eV per cell) = -108.4
- DFT formation energy (eV per atom) = -1.58

abc: 5.070 5.531 7.652
angles: 102.49 103.96 105.71
Space group P-1 (No. 2)
One atom of each set of equivalent atoms:
Li 0.000 0.000 0.000 x1
Li 0.104 0.205 0.712 x2
Li 0.295 0.605 0.106 x2
Fe 0.404 0.816 0.810 x2
Cu 0.201 0.391 0.401 x2
Cu 0.500 0.000 0.500 x1
O 0.045 0.613 0.830 x2
O 0.150 0.831 0.573 x2
O 0.285 0.971 0.255 x2
O 0.365 0.185 0.959 x2
O 0.446 0.457 0.651 x2

This record from Materials Project describes a relaxed Li3Fe2Cu2O8 crystal. The functional is GGA+U.

- crystal system = triclinic
- offset from the most stable computed form (meV per atom) = 0
- electronic total energy (eV per cell) = -83.1
- DFT formation energy (eV per atom) = -1.51

abc: 5.583 5.697 6.232
angles: 63.06 64.20 89.92
Space group P-1 (No. 2)
One atom of each set of equivalent atoms:
Li 0.000 0.000 0.000 x1
Li 0.000 0.500 0.000 x1
Li 0.500 0.000 0.500 x1
Fe 0.500 0.000 0.000 x1
Fe 0.500 0.500 0.000 x1
Cu 0.000 0.500 0.500 x1
Cu 0.500 0.500 0.500 x1
O 0.261 0.235 0.008 x2
O 0.272 0.737 0.455 x2
O 0.278 0.314 0.444 x2
O 0.286 0.782 0.952 x2

This record from Materials Project describes a relaxed Li3Fe3CuO8 crystal. The functional is GGA+U.

- crystal system = trigonal
- offset from the most stable computed form (meV per atom) = 0
- electronic total energy (eV per cell) = -262.7
- DFT formation energy (eV per atom) = -1.67

abc: 5.9185 5.9185 14.6893
angles: 90.00 90.00 120.00
Space group R-3m (No. 166, hexagonal axes)
One atom of each set of equivalent atoms:
Li 0.0000 0.5000 0.0000 x9
Fe 0.0000 0.5000 0.5000 x9
Cu 0.0000 0.0000 0.5000 x3
O 0.0000 0.0000 0.2423 x6
O 0.0057 0.5029 0.2412 x18

Values for magnetic moment, μB/f.u., ordered as above
8.679, 9.885, 9.000, 14.094